*P*
# Na2Ge2O5

A geometry-optimized Na2Ge2O5 structure (GGA-PBE, the Materials Project database).

Lattice parameters (Å, degrees): 5.0352 24.7762 8.5392 90.00 90.24 90.00
Atoms (fractional coordinates):
Na1 0.2196 0.0135 0.1478
Na2 0.2196 0.4865 0.6478
Na3 0.2428 0.5261 0.1010
Na4 0.2428 0.9739 0.6010
Na5 0.2592 0.2205 0.7764
Na6 0.2592 0.2795 0.2764
Na7 0.2758 0.7391 0.4760
Na8 0.2758 0.7609 0.9760
Na9 0.7242 0.2391 0.0240
Na10 0.7242 0.2609 0.5240
Na11 0.7408 0.7205 0.7236
Na12 0.7408 0.7795 0.2236
Na13 0.7572 0.0261 0.3990
Na14 0.7572 0.4739 0.8990
Na15 0.7804 0.5135 0.3522
Na16 0.7804 0.9865 0.8522
Ge1 0.1827 0.1613 0.1399
Ge2 0.1827 0.3387 0.6399
Ge3 0.2013 0.6369 0.8017
Ge4 0.2013 0.8631 0.3017
Ge5 0.2967 0.1104 0.4796
Ge6 0.2967 0.3896 0.9796
Ge7 0.3188 0.5896 0.4589
Ge8 0.3188 0.9104 0.9589
Ge9 0.6812 0.0896 0.0411
Ge10 0.6812 0.4104 0.5411
Ge11 0.7033 0.6104 0.0204
Ge12 0.7033 0.8896 0.5204
Ge13 0.7987 0.1369 0.6983
Ge14 0.7987 0.3631 0.1983
Ge15 0.8173 0.6613 0.3601
Ge16 0.8173 0.8387 0.8601
O1 0.1504 0.1340 0.6581
O2 0.1504 0.3660 0.1581
O3 0.1699 0.6500 0.3838
O4 0.1699 0.8500 0.8838
O5 0.2251 0.0455 0.4190
O6 0.2251 0.4545 0.9190
O7 0.2431 0.1655 0.3461
O8 0.2431 0.3345 0.8461
O9 0.2482 0.5285 0.3736
O10 0.2482 0.9715 0.8736
O11 0.2523 0.2226 0.0537
O12 0.2523 0.2774 0.5537
O13 0.2562 0.5832 0.6651
O14 0.2562 0.9168 0.1651
O15 0.2740 0.7023 0.7457
O16 0.2740 0.7977 0.2457
O17 0.3298 0.1020 0.0594
O18 0.3298 0.3980 0.5594
O19 0.3501 0.6122 0.9794
O20 0.3501 0.8878 0.4794
O21 0.6499 0.1122 0.5206
O22 0.6499 0.3878 0.0206
O23 0.6702 0.6020 0.4406
O24 0.6702 0.8980 0.9406
O25 0.7260 0.2023 0.7543
O26 0.7260 0.2977 0.2543
O27 0.7438 0.0832 0.8349
O28 0.7438 0.4168 0.3349
O29 0.7477 0.7226 0.4463
O30 0.7477 0.7774 0.9463
O31 0.7518 0.0285 0.1264
O32 0.7518 0.4715 0.6264
O33 0.7569 0.6655 0.1539
O34 0.7569 0.8345 0.6539
O35 0.7749 0.5455 0.0810
O36 0.7749 0.9545 0.5810
O37 0.8301 0.1500 0.1162
O38 0.8301 0.3500 0.6162
O39 0.8496 0.6340 0.8419
O40 0.8496 0.8660 0.3419

SG ... P2_1/c
ρ ... 3.38 Mg/m³

=====

*Q*
# Na2Ge2O5

A geometry-optimized Na2Ge2O5 structure (GGA-PBE, the Materials Project database).

Lattice parameters (Å, degrees): 6.6125 5.0870 16.3086 90.00 90.00 90.00
Atoms (fractional coordinates):
Na1 0.0999 0.2223 0.0561
Na2 0.0999 0.7777 0.5561
Na3 0.4001 0.2777 0.5561
Na4 0.4001 0.7223 0.0561
Na5 0.5999 0.2777 0.9439
Na6 0.5999 0.7223 0.4439
Na7 0.9001 0.2223 0.4439
Na8 0.9001 0.7777 0.9439
Ge1 0.1001 0.3048 0.8453
Ge2 0.1001 0.6952 0.3453
Ge3 0.3999 0.1952 0.3453
Ge4 0.3999 0.8048 0.8453
Ge5 0.6001 0.1952 0.1547
Ge6 0.6001 0.8048 0.6547
Ge7 0.8999 0.3048 0.6547
Ge8 0.8999 0.6952 0.1547
O1 0.0000 0.2033 0.7500
O2 0.0000 0.7967 0.2500
O3 0.0556 0.2361 0.5724
O4 0.0556 0.7639 0.0724
O5 0.1542 0.3479 0.3518
O6 0.1542 0.6521 0.8518
O7 0.3458 0.1521 0.8518
O8 0.3458 0.8479 0.3518
O9 0.4444 0.2639 0.0724
O10 0.4444 0.7361 0.5724
O11 0.5000 0.2967 0.2500
O12 0.5000 0.7033 0.7500
O13 0.5556 0.2639 0.4276
O14 0.5556 0.7361 0.9276
O15 0.6542 0.1521 0.6482
O16 0.6542 0.8479 0.1482
O17 0.8458 0.3479 0.1482
O18 0.8458 0.6521 0.6482
O19 0.9444 0.2361 0.9276
O20 0.9444 0.7639 0.4276

SG ... Pbcn
ρ ... 3.28 Mg/m³

=====

Tell me which of them is the least stable. Sure, it is *Q*.

=====

*P*
# Na2Ge2O5

A geometry-optimized Na2Ge2O5 structure (GGA-PBE, the Materials Project database).

Lattice parameters (Å, degrees): 8.5122 5.0554 12.7078 90.00 103.50 90.00
Atoms (fractional coordinates):
Na1 0.1191 0.2418 0.0536
Na2 0.1191 0.2582 0.5536
Na3 0.3602 0.7183 0.5265
Na4 0.3602 0.7817 0.0265
Na5 0.6398 0.2183 0.9735
Na6 0.6398 0.2817 0.4735
Na7 0.8809 0.7418 0.4464
Na8 0.8809 0.7582 0.9464
Ge1 0.0992 0.7035 0.2226
Ge2 0.0992 0.7965 0.7226
Ge3 0.4776 0.6817 0.8223
Ge4 0.4776 0.8183 0.3223
Ge5 0.5224 0.1817 0.6777
Ge6 0.5224 0.3183 0.1777
Ge7 0.9008 0.2035 0.2774
Ge8 0.9008 0.2965 0.7774
O1 0.0585 0.1480 0.7249
O2 0.0585 0.3520 0.2249
O3 0.1118 0.7223 0.5921
O4 0.1118 0.7777 0.0921
O5 0.2737 0.7461 0.8322
O6 0.2737 0.7539 0.3322
O7 0.3940 0.2472 0.0550
O8 0.3940 0.2527 0.5550
O9 0.4884 0.1692 0.2981
O10 0.4884 0.3308 0.7981
O11 0.5116 0.6692 0.2019
O12 0.5116 0.8308 0.7019
O13 0.6060 0.7472 0.4450
O14 0.6060 0.7528 0.9450
O15 0.7263 0.2461 0.6678
O16 0.7263 0.2539 0.1678
O17 0.8882 0.2223 0.9079
O18 0.8882 0.2777 0.4079
O19 0.9415 0.6480 0.7751
O20 0.9415 0.8520 0.2751

SG ... P2_1/c
ρ ... 3.39 Mg/m³

=====

*Q*
# Na2Ge2O5

A geometry-optimized Na2Ge2O5 structure (GGA-PBE, the Materials Project database).

Lattice parameters (Å, degrees): 5.0414 12.4626 10.1033 90.00 119.41 90.00
Atoms (fractional coordinates):
Na1 0.1057 0.0371 0.3798
Na2 0.1057 0.4629 0.8798
Na3 0.3919 0.5025 0.6296
Na4 0.3919 0.9975 0.1296
Na5 0.6081 0.0025 0.8704
Na6 0.6081 0.4975 0.3704
Na7 0.8943 0.5371 0.1202
Na8 0.8943 0.9629 0.6202
Ge1 0.0211 0.1760 0.8247
Ge2 0.0211 0.3240 0.3247
Ge3 0.3587 0.6952 0.0525
Ge4 0.3587 0.8048 0.5525
Ge5 0.6413 0.1952 0.4475
Ge6 0.6413 0.3048 0.9475
Ge7 0.9789 0.6760 0.6753
Ge8 0.9789 0.8240 0.1753
O1 0.0711 0.7168 0.8614
O2 0.0711 0.7832 0.3614
O3 0.1313 0.0438 0.8665
O4 0.1313 0.4562 0.3665
O5 0.2788 0.2197 0.4372
O6 0.2788 0.2803 0.9372
O7 0.3067 0.6936 0.6501
O8 0.3067 0.8064 0.1501
O9 0.3591 0.5662 0.1151
O10 0.3591 0.9338 0.6151
O11 0.6409 0.0662 0.3849
O12 0.6409 0.4338 0.8849
O13 0.6933 0.1936 0.8499
O14 0.6933 0.3064 0.3499
O15 0.7212 0.7197 0.0628
O16 0.7212 0.7803 0.5628
O17 0.8687 0.5438 0.6335
O18 0.8687 0.9562 0.1335
O19 0.9289 0.2168 0.6386
O20 0.9289 0.2832 0.1386

SG ... P2_1/c
ρ ... 3.26 Mg/m³

=====

Tell me which of them is the least stable. Sure, it is *Q*.

=====

*P*
# Na2Ge2Se5

A geometry-optimized Na2Ge2Se5 structure (GGA-PBE, the Materials Project database).

Lattice parameters (Å, degrees): 14.4240 6.2755 11.3375 90.00 90.00 90.00
Atoms (fractional coordinates):
Na1 0.0373 0.0029 0.0000
Na2 0.0567 0.5072 0.7445
Na3 0.4433 0.0072 0.2445
Na4 0.4627 0.5029 0.5000
Na5 0.5373 0.4971 0.0000
Na6 0.5567 0.9928 0.7445
Na7 0.9433 0.4928 0.2445
Na8 0.9627 0.9971 0.5000
Ge1 0.1550 0.4589 0.4518
Ge2 0.2051 0.9671 0.6445
Ge3 0.2949 0.4671 0.1445
Ge4 0.3450 0.9589 0.9518
Ge5 0.6550 0.0411 0.4518
Ge6 0.7051 0.5329 0.6445
Ge7 0.7949 0.0329 0.1445
Ge8 0.8450 0.5411 0.9518
Se1 0.0017 0.5021 0.9940
Se2 0.0614 0.0040 0.7330
Se3 0.1643 0.6056 0.2547
Se4 0.2159 0.1007 0.4439
Se5 0.2445 0.1025 0.1047
Se6 0.2555 0.6025 0.6047
Se7 0.2841 0.6007 0.9439
Se8 0.3357 0.1056 0.7547
Se9 0.4386 0.5040 0.2330
Se10 0.4983 0.0021 0.4940
Se11 0.5017 0.9979 0.9940
Se12 0.5614 0.4960 0.7330
Se13 0.6643 0.8944 0.2547
Se14 0.7159 0.3993 0.4439
Se15 0.7445 0.3975 0.1047
Se16 0.7555 0.8975 0.6047
Se17 0.7841 0.8993 0.9439
Se18 0.8357 0.3944 0.7547
Se19 0.9386 0.9960 0.2330
Se20 0.9983 0.4979 0.4940

SG ... Pna2_1
ρ ... 3.79 Mg/m³

=====

*Q*
# Na2Ge2Se5

A geometry-optimized Na2Ge2Se5 structure (GGA-PBE, the Materials Project database).

Lattice parameters (Å, degrees): 9.6649 9.6649 11.2660 90.00 90.00 91.23
Atoms (fractional coordinates):
Na1 0.0755 0.5759 0.7500
Na2 0.1450 0.1450 0.0000
Na3 0.1450 0.1450 0.5000
Na4 0.4241 0.9245 0.7500
Na5 0.5759 0.0755 0.2500
Na6 0.8550 0.8550 0.0000
Na7 0.8550 0.8550 0.5000
Na8 0.9245 0.4241 0.2500
Ge1 0.2552 0.7448 0.0801
Ge2 0.2552 0.7448 0.4199
Ge3 0.3135 0.4064 0.2500
Ge4 0.4064 0.3135 0.7500
Ge5 0.5936 0.6865 0.2500
Ge6 0.6865 0.5936 0.7500
Ge7 0.7448 0.2552 0.5801
Ge8 0.7448 0.2552 0.9199
Se1 0.1502 0.8498 0.2500
Se2 0.1569 0.8431 0.5874
Se3 0.1569 0.8431 0.9126
Se4 0.1697 0.2677 0.7500
Se5 0.2021 0.4996 0.0760
Se6 0.2021 0.4996 0.4240
Se7 0.2677 0.1697 0.2500
Se8 0.4419 0.5581 0.7500
Se9 0.4996 0.2021 0.5760
Se10 0.4996 0.2021 0.9240
Se11 0.5004 0.7979 0.0760
Se12 0.5004 0.7979 0.4240
Se13 0.5581 0.4419 0.2500
Se14 0.7323 0.8303 0.7500
Se15 0.7979 0.5004 0.5760
Se16 0.7979 0.5004 0.9240
Se17 0.8303 0.7323 0.2500
Se18 0.8431 0.1569 0.0874
Se19 0.8431 0.1569 0.4126
Se20 0.8498 0.1502 0.7500

SG ... Cmcm
ρ ... 3.70 Mg/m³

=====

Tell me which of them is the least stable. Sure, it is *Q*.

=====

*P*
# Sc2Nb3Ge4

A geometry-optimized Sc2Nb3Ge4 structure (GGA-PBE, the Materials Project database).

Lattice parameters (Å, degrees): 6.8693 13.3854 7.0535 90.00 90.00 90.00
Atoms (fractional coordinates):
Sc1 0.0059 0.0939 0.1768
Sc2 0.0059 0.4061 0.1768
Sc3 0.4941 0.5939 0.6768
Sc4 0.4941 0.9061 0.6768
Sc5 0.5059 0.0939 0.3232
Sc6 0.5059 0.4061 0.3232
Sc7 0.9941 0.5939 0.8232
Sc8 0.9941 0.9061 0.8232
Nb1 0.1598 0.6255 0.3307
Nb2 0.1598 0.8745 0.3307
Nb3 0.1643 0.2500 0.5104
Nb4 0.3357 0.7500 0.0104
Nb5 0.3402 0.1255 0.8307
Nb6 0.3402 0.3745 0.8307
Nb7 0.6598 0.6255 0.1693
Nb8 0.6598 0.8745 0.1693
Nb9 0.6643 0.2500 0.9896
Nb10 0.8357 0.7500 0.4896
Nb11 0.8402 0.1255 0.6693
Nb12 0.8402 0.3745 0.6693
Ge1 0.0402 0.2500 0.8850
Ge2 0.1812 0.0404 0.5340
Ge3 0.1812 0.4596 0.5340
Ge4 0.1954 0.7500 0.6482
Ge5 0.3046 0.2500 0.1482
Ge6 0.3188 0.5404 0.0340
Ge7 0.3188 0.9596 0.0340
Ge8 0.4598 0.7500 0.3850
Ge9 0.5402 0.2500 0.6150
Ge10 0.6812 0.0404 0.9660
Ge11 0.6812 0.4596 0.9660
Ge12 0.6954 0.7500 0.8518
Ge13 0.8046 0.2500 0.3518
Ge14 0.8188 0.5404 0.4660
Ge15 0.8188 0.9596 0.4660
Ge16 0.9598 0.7500 0.1150

SG ... Pnma
ρ ... 6.75 Mg/m³

=====

*Q*
# Sc2Nb3Ge4

A geometry-optimized Sc2Nb3Ge4 structure (GGA-PBE, the Materials Project database).

Lattice parameters (Å, degrees): 6.7803 13.3482 7.0062 90.00 90.00 90.00
Atoms (fractional coordinates):
Sc1 0.1567 0.1244 0.1666
Sc2 0.1567 0.3756 0.1666
Sc3 0.3433 0.6244 0.6666
Sc4 0.3433 0.8756 0.6666
Sc5 0.6567 0.1244 0.3334
Sc6 0.6567 0.3756 0.3334
Sc7 0.8433 0.6244 0.8334
Sc8 0.8433 0.8756 0.8334
Nb1 0.0086 0.5915 0.3219
Nb2 0.0086 0.9085 0.3219
Nb3 0.1684 0.7500 0.0028
Nb4 0.3316 0.2500 0.5028
Nb5 0.4914 0.0915 0.8219
Nb6 0.4914 0.4085 0.8219
Nb7 0.5086 0.5915 0.1781
Nb8 0.5086 0.9085 0.1781
Nb9 0.6684 0.7500 0.4972
Nb10 0.8316 0.2500 0.9972
Nb11 0.9914 0.0915 0.6781
Nb12 0.9914 0.4085 0.6781
Ge1 0.0364 0.7500 0.6025
Ge2 0.1886 0.5410 0.9655
Ge3 0.1886 0.9590 0.9655
Ge4 0.1911 0.2500 0.8484
Ge5 0.3089 0.7500 0.3484
Ge6 0.3114 0.0410 0.4655
Ge7 0.3114 0.4590 0.4655
Ge8 0.4636 0.2500 0.1025
Ge9 0.5364 0.7500 0.8975
Ge10 0.6886 0.5410 0.5345
Ge11 0.6886 0.9590 0.5345
Ge12 0.6911 0.2500 0.6516
Ge13 0.8089 0.7500 0.1516
Ge14 0.8114 0.0410 0.0345
Ge15 0.8114 0.4590 0.0345
Ge16 0.9636 0.2500 0.3975

SG ... Pnma
ρ ... 6.91 Mg/m³

=====

Tell me which of them is the least stable. Sure, it is *Q*.